A relaxed AgSbWO7 crystal. Source: Materials Project, functional PBE with a Hubbard U.

Summary:
- space-group type = Imma
- volume (A^3/atom) = 14.2
- energy of formation from the pure elements (meV per atom) = -1510

a = 7.3805 Å, b = 7.3805 Å, c = 7.3805 Å
α = 120.93°, β = 119.63°, γ = 89.52°
Last column: nearest neighbours and their distance in Å.
Fractional positions:
Ag 0.5000 0.0000 0.0000  2 O 2.01
Ag 0.5000 0.5000 0.5000  2 O 2.01
Sb 0.0000 0.0000 0.0000  6 O 1.99-2.02
Sb 0.5000 0.0000 0.5000  6 O 1.99-2.02
W 0.0000 0.0000 0.5000  6 O 1.91-1.94
W 0.0000 0.5000 0.0000  6 O 1.91-1.94
O 0.0569 0.3069 0.7500  2 W 1.91
O 0.0641 0.3193 0.1298  1 W 1.94, 1 Sb 1.99
O 0.0641 0.9343 0.7448  1 W 1.94, 1 Sb 1.99
O 0.3106 0.0657 0.6298  1 W 1.94, 1 Sb 1.99
O 0.3106 0.6807 0.2448  1 W 1.94, 1 Sb 1.99
O 0.3263 0.0763 0.2500  2 Sb 2.02
O 0.4190 0.6690 0.7500  2 Ag 2.01
O 0.5810 0.3310 0.2500  2 Ag 2.01
O 0.6737 0.9237 0.7500  2 Sb 2.02
O 0.6894 0.3193 0.7552  1 W 1.94, 1 Sb 1.99
O 0.6894 0.9343 0.3702  1 W 1.94, 1 Sb 1.99
O 0.9359 0.0657 0.2552  1 W 1.94, 1 Sb 1.99
O 0.9359 0.6807 0.8702  1 W 1.94, 1 Sb 1.99
O 0.9431 0.6931 0.2500  2 W 1.91